Record 1
! PBE+U ZnWF5, relaxed; values from VASP
! Uncorrected energy in eV per atom: -4.9620
! ΔH_f (0 K) in kJ/mol of atoms: -243.85
&SYSTEM
  ibrav = 0, nat = 14, ntyp = 3
/
ATOMIC_SPECIES
F 19.00 F.upf
W 183.84 W.upf
Zn 65.41 Zn.upf
ATOMIC_POSITIONS crystal
F 0.319 0.707 0.049
F 0.293 0.681 0.451
F 0.877 0.123 0.250
F 0.707 0.319 0.549
F 0.779 0.698 0.138
F 0.221 0.302 0.862
F 0.698 0.779 0.638
F 0.302 0.221 0.362
F 0.681 0.293 0.951
F 0.123 0.877 0.750
W 0.000 0.000 0.500
W 0.000 0.000 0.000
Zn 0.503 0.497 0.250
Zn 0.497 0.503 0.750
CELL_PARAMETERS angstrom
2.434 -0.378 5.008
5.376 1.259 -0.815
1.621 7.186 2.839

Record 2
! PBE+U ZnWF4, relaxed; values from VASP
! Offset from the most stable computed form in meV per atom: 0
! Uncorrected energy in eV per atom: -4.4982
! ΔH_f (0 K) in kJ/mol of atoms: -183.31
&SYSTEM
  ibrav = 0, nat = 12, ntyp = 3
/
ATOMIC_SPECIES
F 19.00 F.upf
W 183.84 W.upf
Zn 65.41 Zn.upf
ATOMIC_POSITIONS crystal
F 0.548 0.697 0.740
F 0.804 0.950 0.254
F 0.049 0.546 0.745
F 0.305 0.800 0.259
F 0.195 0.042 0.742
F 0.700 0.190 0.739
F 0.456 0.303 0.259
F 0.948 0.452 0.255
W 0.501 0.998 0.000
W 0.000 0.497 0.000
Zn 0.250 0.243 0.500
Zn 0.749 0.745 0.503
CELL_PARAMETERS angstrom
0.088 4.621 3.648
-3.234 3.102 -3.844
-2.995 -5.670 2.512

Record 3
! PBE+U ZnWF6, relaxed; values from VASP
! Uncorrected energy in eV per atom: -5.0336
! ΔH_f (0 K) in kJ/mol of atoms: -262.60
&SYSTEM
  ibrav = 0, nat = 8, ntyp = 3
/
ATOMIC_SPECIES
F 19.00 F.upf
W 183.84 W.upf
Zn 65.41 Zn.upf
ATOMIC_POSITIONS crystal
F 0.844 0.243 0.661
F 0.156 0.757 0.339
F 0.339 0.156 0.757
F 0.757 0.339 0.156
F 0.661 0.844 0.243
F 0.243 0.661 0.844
W 0.000 0.000 0.000
Zn 0.500 0.500 0.500
CELL_PARAMETERS angstrom
5.000 -2.738 0.000
5.000 2.738 0.000
3.501 0.000 4.499

Record 4
! PBE+U ZnWF5, relaxed; values from VASP
! Uncorrected energy in eV per atom: -4.9617
! ΔH_f (0 K) in kJ/mol of atoms: -243.82
&SYSTEM
  ibrav = 0, nat = 28, ntyp = 3
/
ATOMIC_SPECIES
F 19.00 F.upf
Zn 65.41 Zn.upf
W 183.84 W.upf
ATOMIC_POSITIONS crystal
F 0.637 0.736 0.668
F 0.602 0.328 0.512
F 0.812 0.092 0.365
F 0.688 0.092 0.865
F 0.102 0.672 0.988
F 0.137 0.264 0.832
F 0.917 0.835 0.721
F 0.886 0.388 0.597
F 0.583 0.835 0.221
F 0.398 0.672 0.488
F 0.083 0.165 0.279
F 0.417 0.165 0.779
F 0.312 0.908 0.135
F 0.363 0.264 0.332
F 0.188 0.908 0.635
F 0.863 0.736 0.168
F 0.614 0.388 0.097
F 0.114 0.612 0.403
F 0.898 0.328 0.012
F 0.386 0.612 0.903
Zn 0.513 0.482 0.278
Zn 0.987 0.482 0.778
Zn 0.487 0.518 0.722
Zn 0.013 0.518 0.222
W 0.243 0.927 0.378
W 0.257 0.927 0.878
W 0.757 0.073 0.622
W 0.743 0.073 0.122
CELL_PARAMETERS angstrom
-6.980 6.493 4.434
-3.664 -3.895 -0.064
0.473 -4.189 6.878